1.
Compound: Nb2PbO6
Source: the Materials Project
Functional: GGA-PBE
Structure: relaxed

a = 7.3148 Å, b = 7.3148 Å, c = 7.3148 Å
α = 93.64°, β = 93.64°, γ = 93.64°
Closest atoms and distances in Å follow each position.
Sites, in units of the cell vectors:
Nb  0.5419  0.8395  0.2006  3 O 1.84-1.97
Nb  0.8395  0.2006  0.5419  3 O 1.84-1.97
Nb  0.2006  0.5419  0.8395  3 O 1.84-1.97
Nb  0.1523  0.8108  0.5075  3 O 1.85-1.96
Nb  0.8108  0.5075  0.1523  3 O 1.85-1.96
Nb  0.5075  0.1523  0.8108  3 O 1.85-1.96
Pb  0.9943  0.9943  0.9943  3 O 2.33
Pb  0.3578  0.3578  0.3578  3 O 2.32
Pb  0.6860  0.6860  0.6860  12 O 2.74-3.01
O  0.4010  0.6758  0.9558  1 Nb 1.84
O  0.6758  0.9558  0.4010  1 Nb 1.84
O  0.9558  0.4010  0.6758  1 Nb 1.84
O  0.9534  0.6743  0.3892  1 Nb 1.85
O  0.6743  0.3892  0.9534  1 Nb 1.85
O  0.3892  0.9534  0.6743  1 Nb 1.85
O  0.7691  0.0539  0.7696  2 Nb 2.11-2.12, 1 Pb 2.33
O  0.0539  0.7696  0.7691  2 Nb 2.11-2.12, 1 Pb 2.33
O  0.7696  0.7691  0.0539  2 Nb 2.11-2.12, 1 Pb 2.33
O  0.0527  0.5164  0.0502  2 Nb 1.95-1.96
O  0.5164  0.0502  0.0527  2 Nb 1.95-1.96
O  0.0502  0.0527  0.5164  2 Nb 1.95-1.96
O  0.5799  0.2916  0.5807  2 Nb 2.08-2.10, 1 Pb 2.32
O  0.2916  0.5807  0.5799  2 Nb 2.08-2.10, 1 Pb 2.32
O  0.5807  0.5799  0.2916  2 Nb 2.08-2.10, 1 Pb 2.32
O  0.2956  0.8452  0.2947  2 Nb 1.95-1.97
O  0.8452  0.2947  0.2956  2 Nb 1.95-1.97
O  0.2947  0.2956  0.8452  2 Nb 1.95-1.97

Values from the calculation:
Symmetry: No. 146



2.
Compound: Nb2PbO6
Source: the Materials Project
Functional: GGA-PBE
Structure: relaxed

a = 7.3391 Å, b = 7.3391 Å, c = 7.3391 Å
α = 93.99°, β = 93.99°, γ = 93.99°
Closest atoms and distances in Å follow each position.
Sites, in units of the cell vectors:
Nb  0.5129  0.1620  0.8148  3 O 1.85-1.99
Nb  0.8148  0.5129  0.1620  3 O 1.85-1.99
Nb  0.1620  0.8148  0.5129  3 O 1.85-1.99
Nb  0.8148  0.1620  0.5129  3 O 1.85-1.99
Nb  0.5129  0.8148  0.1620  3 O 1.85-1.99
Nb  0.1620  0.5129  0.8148  3 O 1.85-1.99
Pb  0.9922  0.9922  0.9922  3 O 2.32
Pb  0.6497  0.6497  0.6497  3 O 2.58
Pb  0.3537  0.3537  0.3537  3 O 2.35
O  0.0579  0.5105  0.0579  2 Nb 1.99
O  0.0579  0.0579  0.5105  2 Nb 1.99
O  0.5105  0.0579  0.0579  2 Nb 1.99
O  0.3959  0.9614  0.6776  1 Nb 1.85
O  0.6776  0.3959  0.9614  1 Nb 1.85
O  0.9614  0.6776  0.3959  1 Nb 1.85
O  0.6776  0.9614  0.3959  1 Nb 1.85
O  0.3959  0.6776  0.9614  1 Nb 1.85
O  0.9614  0.3959  0.6776  1 Nb 1.85
O  0.3016  0.5815  0.5815  2 Nb 2.13, 1 Pb 2.35
O  0.5815  0.3016  0.5815  2 Nb 2.13, 1 Pb 2.35
O  0.5815  0.5815  0.3016  2 Nb 2.13, 1 Pb 2.35
O  0.7731  0.0679  0.7731  2 Nb 2.11, 1 Pb 2.32
O  0.7731  0.7731  0.0679  2 Nb 2.11, 1 Pb 2.32
O  0.0679  0.7731  0.7731  2 Nb 2.11, 1 Pb 2.32
O  0.3040  0.8413  0.3040  2 Nb 1.93
O  0.3040  0.3040  0.8413  2 Nb 1.93
O  0.8413  0.3040  0.3040  2 Nb 1.93

Values from the calculation:
Symmetry: No. 160



1 ends up most stable, edging out the next structure by 0.8 kJ/mol of atoms.



1.
Compound: Sr5Nb4O15
Source: the Materials Project
Functional: GGA-PBE
Structure: relaxed

a = 5.7379 Å, b = 5.7379 Å, c = 23.2970 Å
α = 90.00°, β = 90.00°, γ = 120.00°
Closest atoms and distances in Å follow each position.
Sites, in units of the cell vectors:
Sr  0.3333  0.6667  0.1402  6 O 2.61-2.62
Sr  0.3333  0.6667  0.4709  6 O 2.57-2.60
Sr  0.0000  0.0000  0.2500  9 O 2.62-2.80
Sr  0.0000  0.0000  0.7500  9 O 2.62-2.80
Sr  0.3333  0.6667  0.6402  6 O 2.61-2.62
Sr  0.3333  0.6667  0.9709  6 O 2.57-2.60
Sr  0.6667  0.3333  0.0291  6 O 2.57-2.60
Sr  0.6667  0.3333  0.3598  6 O 2.61-2.62
Sr  0.6667  0.3333  0.5291  6 O 2.57-2.60
Sr  0.6667  0.3333  0.8598  6 O 2.61-2.62
Nb  0.3333  0.6667  0.3026  6 O 1.97-2.08
Nb  0.0000  0.0000  0.0908  3 O 1.89
Nb  0.0000  0.0000  0.4092  3 O 1.89
Nb  0.0000  0.0000  0.5908  3 O 1.89
Nb  0.0000  0.0000  0.9092  3 O 1.89
Nb  0.3333  0.6667  0.8026  6 O 1.97-2.08
Nb  0.6667  0.3333  0.1974  6 O 1.97-2.08
Nb  0.6667  0.3333  0.6974  6 O 1.97-2.08
O  0.1009  0.7681  0.5551  1 Nb 1.89
O  0.1183  0.7871  0.3463  1 Nb 1.97
O  0.0000  0.5440  0.7500  2 Nb 2.08
O  0.0000  0.4560  0.2500  2 Nb 2.08
O  0.2129  0.8817  0.8463  1 Nb 1.97
O  0.2319  0.8991  0.0551  1 Nb 1.89
O  0.1009  0.3328  0.0551  1 Nb 1.89
O  0.1183  0.3312  0.8463  1 Nb 1.97
O  0.2129  0.3312  0.3463  1 Nb 1.97
O  0.2319  0.3328  0.5551  1 Nb 1.89
O  0.3328  0.2319  0.9449  1 Nb 1.89
O  0.6672  0.8991  0.5551  1 Nb 1.89
O  0.6688  0.8817  0.3463  1 Nb 1.97
O  0.3312  0.2129  0.1537  1 Nb 1.97
O  0.4560  0.4560  0.7500  2 Nb 2.08
O  0.5440  0.5440  0.2500  2 Nb 2.08
O  0.6688  0.7871  0.8463  1 Nb 1.97
O  0.3312  0.1183  0.6537  1 Nb 1.97
O  0.3328  0.1009  0.4449  1 Nb 1.89
O  0.6672  0.7681  0.0551  1 Nb 1.89
O  0.7681  0.6672  0.4449  1 Nb 1.89
O  0.7871  0.6688  0.6537  1 Nb 1.97
O  0.4560  0.0000  0.2500  2 Nb 2.08
O  0.5440  0.0000  0.7500  2 Nb 2.08
O  0.8817  0.6688  0.1537  1 Nb 1.97
O  0.8991  0.6672  0.9449  1 Nb 1.89
O  0.7681  0.1009  0.9449  1 Nb 1.89
O  0.7871  0.1183  0.1537  1 Nb 1.97
O  0.8817  0.2129  0.6537  1 Nb 1.97
O  0.8991  0.2319  0.4449  1 Nb 1.89

Values from the calculation:
Symmetry: No. 165



2.
Compound: Sr5Nb4O15
Source: the Materials Project
Functional: GGA-PBE
Structure: relaxed

a = 5.7459 Å, b = 5.7459 Å, c = 11.6717 Å
α = 89.35°, β = 89.35°, γ = 59.89°
Closest atoms and distances in Å follow each position.
Sites, in units of the cell vectors:
Sr  0.3331  0.3331  0.2197  7 O 2.58-2.88
Sr  0.6669  0.6669  0.7803  7 O 2.58-2.88
Sr  0.3301  0.3301  0.5612  5 O 2.54-2.85
Sr  0.6699  0.6699  0.4388  5 O 2.54-2.85
Sr  0.0000  0.0000  0.0000  12 O 2.77-2.87
Nb  0.0024  0.0024  0.6796  3 O 1.88
Nb  0.9976  0.9976  0.3204  3 O 1.88
Nb  0.3353  0.3353  0.8943  6 O 1.96-2.07
Nb  0.6647  0.6647  0.1057  6 O 1.96-2.07
O  0.6579  0.1638  0.3928  1 Nb 1.88
O  0.6760  0.1703  0.8075  2 Nb 1.97-2.20
O  0.8362  0.3421  0.6072  1 Nb 1.88
O  0.1661  0.1661  0.3905  1 Nb 1.88
O  0.1703  0.6760  0.8075  2 Nb 1.97-2.20
O  0.3421  0.8362  0.6072  1 Nb 1.88
O  0.0000  0.5000  0.0000  2 Nb 2.07
O  0.8339  0.8339  0.6095  1 Nb 1.88
O  0.8283  0.8283  0.1966  1 Nb 1.96
O  0.5000  0.0000  0.0000  2 Nb 2.07
O  0.8297  0.3240  0.1925  2 Nb 1.97-2.20
O  0.1717  0.1717  0.8034  1 Nb 1.96
O  0.3240  0.8297  0.1925  2 Nb 1.97-2.20
O  0.1638  0.6579  0.3928  1 Nb 1.88
O  0.5000  0.5000  0.0000  2 Nb 2.07

Values from the calculation:
Spin magnetization (Bohr magnetons per cell): 0.0
Symmetry: No. 12



1 ends up most stable, edging out the next structure by 1.9 kJ/mol of atoms.